Cr5P4O16 | the Materials Project | PBE with a Hubbard U | relaxed; raw total energy = -382.117 eV for the cell shown; polymorph energy (0 for the lowest one) = 0.0 meV/atom; total energy after the MP2020 corrections = -8.4818 eV per atom; size of the total moment = 0.080 μB/atom
1.0
7.9884 -0.0067 -1.2683
-3.4252 7.6274 -0.2210
-0.0197 -0.0391 10.3924
Cr P O
10 8 32
direct
0.0000 0.0001 0.0000
0.2486 0.7652 0.0581
0.2486 0.7655 0.5580
0.7514 0.2344 0.4420
0.7514 0.2347 0.9419
0.0000 0.0000 0.5000
0.4157 0.6652 0.3228
0.4156 0.6652 0.8227
0.5844 0.3348 0.1773
0.5843 0.3348 0.6772
0.1979 0.4264 0.0707
0.1981 0.4267 0.5707
0.8019 0.5733 0.4293
0.8021 0.5736 0.9293
0.3056 0.0242 0.3202
0.3057 0.0241 0.8204
0.6943 0.9759 0.1796
0.6944 0.9758 0.6798
0.2367 0.9557 0.1724
0.2367 0.9556 0.6726
0.7633 0.0444 0.3274
0.7633 0.0444 0.8276
0.3399 0.8813 0.4004
0.3400 0.8813 0.9006
0.6600 0.1187 0.0994
0.6601 0.1187 0.5996
0.1713 0.5593 0.1687
0.1715 0.5596 0.6688
0.8285 0.4404 0.3312
0.8287 0.4407 0.8313
0.0115 0.2660 0.0242
0.0118 0.2664 0.5242
0.9882 0.7336 0.4758
0.9885 0.7340 0.9758
0.2550 0.5505 0.4592
0.2548 0.5502 0.9591
0.7452 0.4498 0.0409
0.7450 0.4495 0.5408
0.1775 0.0869 0.3752
0.1777 0.0869 0.8754
0.8223 0.9131 0.1246
0.8224 0.9130 0.6248
0.5003 0.8155 0.1689
0.5002 0.8156 0.6689
0.4998 0.1844 0.3311
0.4997 0.1845 0.8311
0.3435 0.3669 0.1300
0.3436 0.3671 0.6300
0.6563 0.6328 0.3699
0.6565 0.6331 0.8699

=====

ScCrO4 | the Materials Project | PBE with a Hubbard U | relaxed; raw total energy = -187.026 eV for the cell shown; total energy after the MP2020 corrections = -8.5839 eV per atom; size of the total moment = 0.167 μB/atom
1.0
2.8466 4.2876 0.0031
-8.5355 4.2847 -0.0055
0.0050 0.0015 6.6324
Sc Cr O
4 4 16
direct
0.0020 0.0002 0.9989
0.4978 0.5020 0.9994
0.0027 0.9987 0.4999
0.5007 0.4999 0.5015
0.0359 0.6787 0.2499
0.4689 0.8231 0.7499
0.5387 0.1795 0.2497
0.9619 0.3204 0.7504
0.6604 0.3919 0.7519
0.1630 0.8962 0.7508
0.5822 0.3660 0.2487
0.0760 0.8665 0.2476
0.8401 0.1077 0.2507
0.3376 0.6053 0.2534
0.9161 0.1333 0.7483
0.4281 0.6341 0.7491
0.3584 0.1193 0.0484
0.8590 0.6246 0.0456
0.3589 0.1179 0.4505
0.8661 0.6188 0.4552
0.1430 0.3799 0.5494
0.6323 0.8755 0.5397
0.1403 0.3820 0.9513
0.6297 0.8787 0.9597